The following is a DFT calculation (PBE-GGA) of a geometry-optimized Ti3Al structure.

* DFT total energy: -0.2579 Ha/atom
* energy of formation from the pure elements: -62 kJ/mol of formula units

Structure (CIF):
```
data_Ti3Al
_chemical_formula_sum 'Ti12 Al4'
_space_group_name_H-M_alt 'F m -3 m'
_space_group_IT_number 225
_space_group_name_Hall '-F 4 2 3'
_cell_length_a 6.4636
_cell_length_b 6.4636
_cell_length_c 6.4636
_cell_angle_alpha 90.00
_cell_angle_beta 90.00
_cell_angle_gamma 90.00
loop_
_atom_site_label
_atom_site_fract_x
_atom_site_fract_y
_atom_site_fract_z
Ti1 0.0000 0.0000 0.0000
Ti2 0.2500 0.2500 0.2500
Al1 0.0000 0.0000 0.5000
```